# 1
MoS2 | the Materials Project database | meta-GGA r2SCAN | relaxed; total magnetization = 0.0 μB/f.u.; raw total energy = -90.06 eV/cell; ΔE_f = -0.96 eV/atom
1.0
3.185 0.000 0.000
-1.593 2.759 0.000
0.000 0.000 13.178
Mo S
2 4
direct
0.000 0.000 0.250
0.000 0.000 0.750
0.333 0.667 0.132
0.333 0.667 0.368
0.667 0.333 0.632
0.667 0.333 0.868

# 2
GdNbO4 | the Materials Project database | meta-GGA r2SCAN | relaxed; total magnetization = 7.0 μB/f.u.; raw total energy = -224.06 eV/cell; ΔE_f = -3.34 eV/atom
1.0
3.582 -5.568 0.000
3.582 5.568 0.000
-3.410 0.000 3.856
Gd Nb O
2 2 8
direct
0.129 0.871 0.750
0.871 0.129 0.250
0.394 0.606 0.250
0.606 0.394 0.750
0.131 0.552 0.338
0.223 0.287 0.798
0.287 0.223 0.298
0.448 0.869 0.162
0.552 0.131 0.838
0.713 0.777 0.702
0.777 0.713 0.202
0.869 0.448 0.662

Look up the total magnetization of the second one.
7.0 μB/f.u.